1.
## Hf3As (r2SCAN)

Data for a relaxed structure of Hf3As.

The structure in extended XYZ format:
```
32
Lattice="7.698 -2.691 0.000 7.698 2.691 0.000 -0.079 0.000 15.323" Properties=species:S:1:pos:R:3 pbc="T T T"
Hf 4.044 1.418 10.705
Hf 1.223 0.207 10.604
Hf 4.008 1.136 1.453
Hf 1.262 -0.207 2.942
Hf 5.271 1.204 7.499
Hf 6.860 1.360 15.069
Hf 8.418 1.360 7.916
Hf 6.794 0.103 2.554
Hf 10.086 1.204 0.163
Hf 6.754 -0.103 10.216
Hf 11.235 1.418 12.280
Hf 3.968 -1.136 9.114
Hf 11.349 1.136 6.209
Hf 4.083 -1.418 3.043
Hf 8.563 0.103 5.107
Hf 5.231 -1.204 15.161
Hf 8.524 -0.103 12.769
Hf 6.900 -1.360 7.407
Hf 8.458 -1.360 0.254
Hf 10.047 -1.204 7.824
Hf 14.055 0.207 12.381
Hf 11.310 -1.136 13.871
Hf 14.095 -0.207 4.720
Hf 11.274 -1.418 4.619
As 1.265 0.118 5.696
As 1.225 -0.118 13.358
As 5.752 0.231 12.757
As 5.792 -0.231 5.095
As 9.526 0.231 10.228
As 9.566 -0.231 2.567
As 14.092 0.118 1.965
As 14.053 -0.118 9.627
```

Summary:
ΔH_f (0 K)   -0.7218 eV/atom
Crystal system   monoclinic
Total energy   -38.262 eV/atom

---

2.
## Mg3NiO4 (r2SCAN)

Data for a relaxed structure of Mg3NiO4.

The structure in extended XYZ format:
```
16
Lattice="0.355 -1.689 5.673 4.939 1.228 -3.043 3.121 4.883 1.258" Properties=species:S:1:pos:R:3 pbc="T T T"
Mg 2.647 -0.230 1.315
Mg 4.030 3.055 -0.892
Mg 2.470 0.614 -1.521
Mg 1.560 2.441 0.629
Mg 4.207 2.211 1.944
Mg 0.178 -0.844 2.836
O 0.869 0.798 1.733
O 3.338 1.412 0.212
O 3.516 0.568 3.048
O 5.076 3.009 3.677
O 4.899 3.854 0.841
O 2.429 3.240 2.362
O 1.046 -0.046 4.569
O 2.607 2.395 5.198
Ni 0.000 0.000 0.000
Ni 1.738 1.597 3.466
```

Summary:
ΔH_f (0 K)   -2.5314 eV/atom
Total energy   -8.579 eV/atom

---

3.
## Hg3TeO6 (r2SCAN)

Data for a relaxed structure of Hg3TeO6.

The structure in extended XYZ format:
```
80
Lattice="-6.775 6.775 6.775 6.775 -6.775 6.775 6.775 6.775 -6.775" Properties=species:S:1:pos:R:3 pbc="T T T"
Hg 10.739 -0.601 1.688
Hg 7.376 5.087 -3.965
Hg 8.462 2.810 -0.601
Hg 7.376 -1.688 3.965
Hg 3.965 0.601 1.688
Hg 5.087 3.965 -0.601
Hg 5.087 -3.965 7.376
Hg 3.965 -0.601 5.087
Hg 7.376 1.688 2.810
Hg 1.688 3.965 0.601
Hg 0.601 1.688 3.965
Hg 3.965 7.376 -1.688
Hg 2.810 -0.601 8.462
Hg 6.174 5.087 2.810
Hg 5.087 2.810 6.174
Hg -0.601 5.087 3.965
Hg 2.810 7.376 1.688
Hg 1.688 10.739 -0.601
Hg 1.688 2.810 7.376
Hg 2.810 6.174 5.087
Hg -0.601 8.462 2.810
Hg -1.688 3.965 7.376
Hg -0.601 1.688 10.739
Hg -3.965 7.376 5.087
Te 0.000 0.000 0.000
Te 3.387 3.387 -3.387
Te 3.387 -3.387 3.387
Te 6.775 0.000 0.000
Te -3.387 3.387 3.387
Te 0.000 6.775 0.000
Te 0.000 0.000 6.775
Te 3.387 3.387 3.387
O 5.327 -3.307 3.322
O 11.610 0.075 -0.063
O 8.714 0.075 0.063
O 5.327 3.467 -3.322
O 3.322 -1.447 3.307
O 3.307 3.322 -1.447
O 6.700 -0.063 1.940
O 6.838 -4.835 6.700
O 6.700 6.838 -4.835
O 3.467 -3.322 5.327
O 3.322 5.327 -3.307
O 6.711 1.940 0.075
O 10.096 1.447 3.307
O 6.711 -1.940 6.700
O 6.700 6.711 -1.940
O 3.467 3.322 1.447
O 6.838 4.835 0.075
O 6.700 0.063 4.835
O 10.082 3.453 1.447
O 3.322 1.447 3.467
O -1.447 3.307 3.322
O 1.940 6.700 -0.063
O 4.835 6.700 0.063
O 5.327 3.307 3.453
O 1.447 3.467 3.322
O 1.940 0.075 6.711
O 4.835 0.075 6.838
O 8.222 3.467 3.453
O 3.453 5.327 3.307
O -3.307 3.322 5.327
O 0.075 6.711 1.940
O -0.063 1.940 6.700
O 3.307 3.453 5.327
O 0.075 0.063 8.714
O 0.063 8.714 0.075
O -3.322 5.327 3.467
O 0.063 4.835 6.700
O 3.453 1.447 10.082
O 3.307 10.096 1.447
O 0.075 -0.063 11.610
O -0.063 11.610 0.075
O 0.075 6.838 4.835
O 3.467 3.453 8.222
O 3.453 8.222 3.467
O 1.447 3.307 10.096
O -1.940 6.700 6.711
O -4.835 6.700 6.838
O 1.447 10.082 3.453
```

Summary:
ΔH_f (0 K)   -0.7075 eV/atom
Crystal system   cubic
Total energy   -21.643 eV/atom

---

4.
## Bi2Se3 (r2SCAN)

Data for a relaxed structure of Bi2Se3.

The structure in extended XYZ format:
```
20
Lattice="12.236 0.000 0.000 0.000 4.139 0.000 0.000 0.000 11.611" Properties=species:S:1:pos:R:3 pbc="T T T"
Bi 0.230 1.035 1.980
Bi 1.845 3.104 5.366
Bi 4.273 1.035 11.171
Bi 5.888 3.104 7.785
Bi 6.348 1.035 3.825
Bi 7.963 3.104 0.440
Bi 10.391 1.035 6.245
Bi 12.006 3.104 9.631
Se 0.642 1.035 7.348
Se 1.528 3.104 0.604
Se 2.592 1.035 3.539
Se 3.526 3.104 9.344
Se 4.590 1.035 6.410
Se 5.476 3.104 1.543
Se 6.761 1.035 10.068
Se 7.646 3.104 5.201
Se 8.710 1.035 2.267
Se 9.644 3.104 8.072
Se 10.708 1.035 11.007
Se 11.594 3.104 4.262
```

Summary:
ΔH_f (0 K)   -0.4194 eV/atom
Crystal system   orthorhombic
Total energy   -32.407 eV/atom

---

5.
## Lu2ZnSnO6 (r2SCAN)

Data for a relaxed structure of Lu2ZnSnO6.

The structure in extended XYZ format:
```
10
Lattice="0.000 3.917 3.917 3.917 0.000 3.917 3.917 3.917 0.000" Properties=species:S:1:pos:R:3 pbc="T T T"
Lu 1.958 1.958 1.958
Lu 5.875 5.875 5.875
Zn 0.000 0.000 0.000
Sn 3.917 3.917 3.917
O 3.917 3.917 1.947
O 3.917 1.947 3.917
O 5.887 3.917 3.917
O 1.947 3.917 3.917
O 3.917 5.887 3.917
O 3.917 3.917 5.887
```

Summary:
ΔH_f (0 K)   -2.2176 eV/atom
Crystal system   cubic
Total energy   -16.783 eV/atom

---

6.
## YH3 (r2SCAN)

Data for a relaxed structure of YH3.

The structure in extended XYZ format:
```
24
Lattice="6.332 0.000 0.000 -3.166 5.484 0.000 0.000 0.000 6.602" Properties=species:S:1:pos:R:3 pbc="T T T"
Y -1.043 1.806 0.000
Y -2.124 3.678 3.301
Y 2.085 0.000 0.000
Y 1.043 1.806 3.301
Y 4.247 0.000 3.301
Y 2.124 3.678 0.000
H 0.000 0.000 0.428
H 0.000 0.000 3.729
H -0.954 1.653 2.247
H -1.131 1.959 4.351
H -2.035 3.525 1.050
H -2.212 3.831 5.548
H 1.909 0.000 2.247
H 0.954 1.653 5.548
H 0.000 3.656 3.004
H 0.000 3.656 6.305
H 2.262 0.000 4.351
H 1.131 1.959 1.050
H 4.070 0.000 1.050
H 2.035 3.525 4.351
H 3.166 1.828 3.004
H 3.166 1.828 6.305
H 4.424 0.000 5.548
H 2.212 3.831 2.247
```

Summary:
ΔH_f (0 K)   -0.7154 eV/atom
Crystal system   hexagonal
Total energy   -8.385 eV/atom

---

7.
## K3Cu2Bi5S10 (r2SCAN)

Data for a relaxed structure of K3Cu2Bi5S10.

The structure in extended XYZ format:
```
40
Lattice="14.283 0.000 0.000 0.000 17.788 0.000 0.000 0.000 4.035" Properties=species:S:1:pos:R:3 pbc="T T T"
K 0.000 0.000 0.000
K 0.357 4.507 2.017
K 6.784 13.401 0.000
K 7.141 8.894 2.017
K 7.499 4.387 0.000
K 13.926 13.281 2.017
Cu 3.107 13.289 0.000
Cu 4.034 4.395 2.017
Cu 10.248 13.393 2.017
Cu 11.176 4.499 0.000
Bi 0.000 8.894 0.000
Bi 3.144 10.620 2.017
Bi 3.299 15.941 2.017
Bi 3.842 7.047 0.000
Bi 3.998 1.726 0.000
Bi 7.141 0.000 2.017
Bi 10.285 16.063 0.000
Bi 10.441 10.742 0.000
Bi 10.983 1.847 2.017
Bi 11.139 7.168 2.017
S 1.347 11.388 0.000
S 1.678 15.135 0.000
S 1.763 7.941 2.017
S 2.312 0.648 2.017
S 2.861 4.161 0.000
S 4.281 13.055 2.017
S 4.829 9.542 0.000
S 5.379 16.835 0.000
S 5.463 6.241 2.017
S 5.795 2.494 2.017
S 8.488 15.294 2.017
S 8.820 11.548 2.017
S 8.904 0.953 0.000
S 9.454 8.246 0.000
S 10.002 4.733 2.017
S 11.422 13.627 0.000
S 11.971 17.141 2.017
S 12.520 9.847 2.017
S 12.605 2.653 0.000
S 12.936 6.400 0.000
```

Summary:
ΔH_f (0 K)   -0.6924 eV/atom
Crystal system   orthorhombic
Total energy   -21.322 eV/atom

---

8.
## Ba2I2O (r2SCAN)

Data for a relaxed structure of Ba2I2O.

The structure in extended XYZ format:
```
10
Lattice="5.136 -7.048 0.000 5.136 7.048 0.000 -4.626 0.000 5.115" Properties=species:S:1:pos:R:3 pbc="T T T"
Ba 0.988 1.314 0.894
Ba -1.325 -1.314 3.452
Ba 6.972 1.314 1.663
Ba 4.659 -1.314 4.220
I -0.376 2.109 4.313
I 1.937 -2.109 1.755
I 3.710 2.109 3.359
I 6.023 -2.109 0.802
O 3.980 -7.048 1.279
O 1.667 7.048 3.836
```

Summary:
ΔH_f (0 K)   -2.4129 eV/atom
Crystal system   monoclinic
Total energy   -24.031 eV/atom

---

| no. | spin magnetization (μB per cell) |
| --- | --- |
| 1 | 0.00 |
| 2 | 4.00 |
| 3 | 0.00 |
| 4 | 0.00 |
| 5 | 0.00 |
| 6 | 0.00 |
| 7 | 0.00 |
| 8 | 0.00 |